(1)
CaCoCu3Se4 | PBE-GGA | optimized geometry

* formation energy from the elements: -0.626 eV/atom
* energy with MP2020 corrections: -41.027 eV for the cell shown
* total DFT energy (no corrections): -4.3487 eV/atom
* crystal system: cubic

POSCAR file:
```
CaCoCu3Se4
1.0
5.9108 0.0000 0.0000
0.0000 5.9108 0.0000
0.0000 0.0000 5.9108
Ca Co Cu Se
1 1 3 4
direct
0.5000 0.5000 0.5000
0.0000 0.0000 0.0000
0.0000 0.5000 0.0000
0.0000 0.0000 0.5000
0.5000 0.0000 0.0000
0.2305 0.2305 0.2305
0.7695 0.7695 0.2305
0.2305 0.7695 0.7695
0.7695 0.2305 0.7695
```

(2)
Zr3TaFe8 | PBE-GGA | optimized geometry

* formation energy from the elements: -0.246 eV/atom
* total DFT energy (no corrections): -9.0176 eV/atom
* crystal system: trigonal

POSCAR file:
```
Zr3TaFe8
1.0
-5.3778 6.5173 -1.3039
-7.6506 2.4521 -2.9242
-7.5756 3.4788 1.8984
Zr Ta Fe
3 1 8
direct
0.6250 0.6250 0.6250
0.0009 0.0009 0.0009
0.4991 0.4991 0.4991
0.1249 0.1249 0.1249
0.5636 0.0641 0.5636
0.0620 0.5599 0.0620
0.0641 0.5636 0.5636
0.5599 0.0620 0.0620
0.8123 0.8123 0.8123
0.3125 0.3125 0.3125
0.5636 0.5636 0.0641
0.0620 0.0620 0.5599
```

Q: What is the formation energy from the elements in the second record?
A: -0.246 eV/atom